Here is a relaxed structure of Fe2O3 from Materials Project. Energies are from PBE with a Hubbard U.

Unit cell a=8.224 b=8.232 c=8.236 alpha=109.83 beta=109.56 gamma=108.93
Space group P1 (No. 1)
Asymmetric unit:
Fe 0.000 0.000 0.000
Fe 0.001 0.500 0.500
Fe 0.036 0.286 0.823
Fe 0.211 0.249 0.531
Fe 0.251 0.038 0.789
Fe 0.251 0.541 0.288
Fe 0.284 0.820 0.035
Fe 0.463 0.787 0.750
Fe 0.500 0.570 0.074
Fe 0.502 0.078 0.579
Fe 0.539 0.289 0.328
Fe 0.715 0.754 0.535
Fe 0.746 0.037 0.287
Fe 0.748 0.539 0.788
Fe 0.790 0.321 0.039
Fe 0.963 0.789 0.249
O 0.018 0.263 0.061
O 0.018 0.584 0.292
O 0.024 0.763 0.018
O 0.202 0.765 0.742
O 0.210 0.993 0.511
O 0.242 0.578 0.054
O 0.255 0.495 0.513
O 0.292 0.079 0.064
O 0.296 0.308 0.833
O 0.476 0.316 0.557
O 0.480 0.810 0.512
O 0.482 0.492 0.280
O 0.521 0.806 0.015
O 0.523 0.080 0.837
O 0.525 0.038 0.338
O 0.702 0.536 0.012
O 0.710 0.774 0.795
O 0.745 0.262 0.240
O 0.759 0.814 0.336
O 0.790 0.302 0.782
O 0.798 0.542 0.562
O 0.974 0.994 0.739
O 0.983 0.046 0.245
O 0.983 0.276 0.565

Its energy of formation is -8.1 eV per formula unit. Its corrected total energy (MP2020 scheme) is -7.987 eV per atom. The total energy comes out at -6.67 eV per atom. The calculation puts the calculated density at 4.9 g cm⁻³.